[1]
Computed, not measured: an optimized crystal structure of Mg14TiCoO16 at the PBE with a Hubbard U level of DFT.

```
Mg14TiCoO16
1.0
8.5591 0.0000 0.0000
0.0000 8.5591 0.0000
0.0000 0.0000 4.2608
Mg Ti Co O
14 1 1 16
Direct
0.0000 0.2451 0.0000 Mg
0.0000 0.5000 0.5000 Mg
0.0000 0.7549 0.0000 Mg
0.2430 0.2430 0.5000 Mg
0.2430 0.7570 0.5000 Mg
0.2451 0.0000 0.0000 Mg
0.2452 0.5000 0.0000 Mg
0.5000 0.0000 0.5000 Mg
0.5000 0.2452 0.0000 Mg
0.5000 0.7548 0.0000 Mg
0.7549 0.0000 0.0000 Mg
0.7548 0.5000 0.0000 Mg
0.7570 0.2430 0.5000 Mg
0.7570 0.7570 0.5000 Mg
0.5000 0.5000 0.5000 Ti
0.0000 0.0000 0.5000 Co
0.0000 0.0000 0.0000 O
0.0000 0.2634 0.5000 O
0.0000 0.5000 0.0000 O
0.0000 0.7366 0.5000 O
0.2512 0.2512 0.0000 O
0.2512 0.7488 0.0000 O
0.2558 0.5000 0.5000 O
0.2634 0.0000 0.5000 O
0.5000 0.0000 0.0000 O
0.5000 0.2558 0.5000 O
0.5000 0.5000 0.0000 O
0.5000 0.7442 0.5000 O
0.7366 0.0000 0.5000 O
0.7442 0.5000 0.5000 O
0.7488 0.2512 0.0000 O
0.7488 0.7488 0.0000 O
```

Offset from the most stable computed form = 0.23 eV/f.u.
Spin magnetization = 0.1042 μB per atom
MP2020-corrected energy = -6.535 eV per atom
Calculated formation energy = -2.892 eV/atom

---

[2]
Computed, not measured: an optimized crystal structure of V3OF11 at the PBE with a Hubbard U level of DFT.

```
V3OF11
1.0
5.1989 0.0000 0.0000
0.1526 5.3488 0.0000
0.0721 2.6745 14.7891
V O F
6 2 22
Direct
0.0000 0.0000 0.0000 V
0.9999 0.3331 0.3332 V
0.0001 0.6669 0.6668 V
0.4999 0.1670 0.6668 V
0.5000 0.5000 0.0000 V
0.5001 0.8330 0.3332 V
0.2316 0.7391 0.9873 O
0.7684 0.2609 0.0127 O
0.0748 0.9542 0.1177 F
0.0920 0.2471 0.4481 F
0.0918 0.5809 0.7811 F
0.1865 0.0376 0.3050 F
0.1867 0.3720 0.6376 F
0.2730 0.2418 0.9732 F
0.3098 0.5378 0.3099 F
0.3103 0.8725 0.6429 F
0.4071 0.7625 0.4483 F
0.4091 0.0997 0.7814 F
0.4261 0.4148 0.1174 F
0.5739 0.5852 0.8826 F
0.5909 0.9003 0.2186 F
0.5929 0.2375 0.5517 F
0.6897 0.1275 0.3571 F
0.6902 0.4622 0.6901 F
0.7270 0.7582 0.0268 F
0.8133 0.6280 0.3624 F
0.8135 0.9624 0.6950 F
0.9082 0.4191 0.2189 F
0.9080 0.7529 0.5519 F
0.9252 0.0458 0.8823 F
```

Offset from the most stable computed form = 0.58 eV/f.u.
Spin magnetization = 0.0004 μB per atom
MP2020-corrected energy = -6.409 eV per atom
Calculated formation energy = -2.858 eV/atom

---

[3]
Computed, not measured: an optimized crystal structure of Mn3O2F4 at the PBE with a Hubbard U level of DFT.

```
Mn3O2F4
1.0
7.9879 0.0000 0.0000
0.0000 4.7912 0.0000
-0.2536 0.0000 5.7300
Mn O F
6 4 8
Direct
0.0000 0.0000 0.0000 Mn
0.0000 0.5000 0.5000 Mn
0.3235 0.0389 0.3308 Mn
0.3235 0.4611 0.8308 Mn
0.6765 0.5389 0.1692 Mn
0.6765 0.9611 0.6692 Mn
0.2173 0.1860 0.0374 O
0.2173 0.3140 0.5374 O
0.7827 0.6860 0.4626 O
0.7827 0.8140 0.9626 O
0.0974 0.7108 0.8029 F
0.0974 0.7892 0.3029 F
0.4250 0.6974 0.1268 F
0.4250 0.8026 0.6268 F
0.5750 0.1974 0.3732 F
0.5750 0.3026 0.8732 F
0.9026 0.2108 0.6971 F
0.9026 0.2892 0.1971 F
```

Offset from the most stable computed form = 0.16 eV/f.u.
Spin magnetization = 1.4444 μB per atom
MP2020-corrected energy = -7.528 eV per atom
Calculated formation energy = -2.523 eV/atom